1.
# CaMg2 (GGA-PBE, relaxed)
# **Electronic total energy**: -9.8 eV/cell
# **Mass density**: 1.68 g/cm3
# **Formation enthalpy at 0 K**: 0.0978 eV per atom
data_CaMg2
_space_group_name_H-M_alt 'P 63/m m c'
_space_group_IT_number 194
_space_group_name_Hall '-P 6c 2c'
_cell_length_a 3.4683
_cell_length_b 3.4683
_cell_length_c 16.7985
_cell_angle_alpha 90.00
_cell_angle_beta 90.00
_cell_angle_gamma 120.00
loop_
_atom_site_label
_atom_site_type_symbol
_atom_site_fract_x
_atom_site_fract_y
_atom_site_fract_z
Ca1 Ca 0.3333 0.6667 0.2500
Mg1 Mg 0.3333 0.6667 0.5791

2.
# CaMg2 (GGA-PBE, relaxed)
# **Electronic total energy**: -10.7 eV/cell
# **Mass density**: 1.73 g/cm3
# **Formation enthalpy at 0 K**: -0.0555 eV per atom
data_CaMg2
_space_group_name_H-M_alt 'I 4/m m m'
_space_group_IT_number 139
_space_group_name_Hall '-I 4 2'
_cell_length_a 3.8911
_cell_length_b 3.8911
_cell_length_c 11.2553
_cell_angle_alpha 90.00
_cell_angle_beta 90.00
_cell_angle_gamma 90.00
loop_
_atom_site_label
_atom_site_type_symbol
_atom_site_fract_x
_atom_site_fract_y
_atom_site_fract_z
Ca1 Ca 0.0000 0.0000 0.0000
Mg1 Mg 0.0000 0.0000 0.3170

3.
# CaMg (GGA-PBE, relaxed)
# **Electronic total energy**: -6.9 eV/cell
# **Mass density**: 1.65 g/cm3
# **Formation enthalpy at 0 K**: 0.0800 eV per atom
data_CaMg
_space_group_name_H-M_alt 'P -3 m 1'
_space_group_IT_number 164
_space_group_name_Hall '-P 3 2"'
_cell_length_a 3.6367
_cell_length_b 3.6367
_cell_length_c 11.3356
_cell_angle_alpha 90.00
_cell_angle_beta 90.00
_cell_angle_gamma 120.00
loop_
_atom_site_label
_atom_site_type_symbol
_atom_site_fract_x
_atom_site_fract_y
_atom_site_fract_z
Ca1 Ca 0.3333 0.6667 0.3570
Mg1 Mg 0.3333 0.6667 0.8875

Please write out number 1 again, unchanged.
# CaMg2 (GGA-PBE, relaxed)
# **Electronic total energy**: -9.8 eV/cell
# **Mass density**: 1.68 g/cm3
# **Formation enthalpy at 0 K**: 0.0978 eV per atom
data_CaMg2
_space_group_name_H-M_alt 'P 63/m m c'
_space_group_IT_number 194
_space_group_name_Hall '-P 6c 2c'
_cell_length_a 3.4683
_cell_length_b 3.4683
_cell_length_c 16.7985
_cell_angle_alpha 90.00
_cell_angle_beta 90.00
_cell_angle_gamma 120.00
loop_
_atom_site_label
_atom_site_type_symbol
_atom_site_fract_x
_atom_site_fract_y
_atom_site_fract_z
Ca1 Ca 0.3333 0.6667 0.2500
Mg1 Mg 0.3333 0.6667 0.5791

> mass density of number 1 (CaMg2)?

1.68 g/cm3

> Which of these has the lowest mass density?

CaMg